Compound: LuFe2SiC
Source: the Materials Project
Functional: PBE
Structure: optimized geometry

Properties
total magnetization = 0.86 μB/cell
ΔE_f = -542 meV per atom

abc: 3.656 5.525 6.717
angles: 90.00 90.00 109.32
Fractional positions:
Si  0.267  0.535  0.750
Si  0.733  0.465  0.250
Fe  0.835  0.669  0.561
Fe  0.165  0.331  0.061
Fe  0.165  0.331  0.439
Fe  0.835  0.669  0.939
C  0.000  0.000  0.000
C  0.000  0.000  0.500
Lu  0.547  0.094  0.750
Lu  0.453  0.906  0.250